Below is an optimized crystal structure of PrRhO3, with properties calculated at the meta-GGA r2SCAN level.

Cell: 5.4054 5.8274 7.8437 Å, 90.00 90.00 90.00°
With the nearest neighbours (Å) after each atom.
Fractional coordinates of all 20 atoms:
Pr 0.4777 0.5728 0.7500  6 O 2.34-2.58
Pr 0.9777 0.9272 0.2500  6 O 2.34-2.58
Pr 0.0223 0.0728 0.7500  6 O 2.34-2.58
Pr 0.5223 0.4272 0.2500  6 O 2.34-2.58
Rh 0.5000 0.0000 0.5000  6 O 2.05-2.08
Rh 0.0000 0.5000 0.5000  6 O 2.05-2.08
Rh 0.0000 0.5000 0.0000  6 O 2.05-2.08
Rh 0.5000 0.0000 0.0000  6 O 2.05-2.08
O 0.8119 0.1977 0.4492  2 Rh 2.07-2.08
O 0.3119 0.3023 0.5508  2 Rh 2.07-2.08
O 0.6881 0.6977 0.0508  2 Rh 2.07-2.08
O 0.1881 0.8023 0.9492  2 Rh 2.07-2.08
O 0.1881 0.8023 0.5508  2 Rh 2.07-2.08
O 0.6881 0.6977 0.4492  2 Rh 2.07-2.08
O 0.3119 0.3023 0.9492  2 Rh 2.07-2.08
O 0.8119 0.1977 0.0508  2 Rh 2.07-2.08
O 0.3963 0.0300 0.2500  2 Rh 2.05
O 0.8963 0.4700 0.7500  2 Rh 2.05
O 0.1037 0.5300 0.2500  2 Rh 2.05
O 0.6037 0.9700 0.7500  2 Rh 2.05

**Mass density**: 7.84 g/cm3
**Formation energy**: -2359 meV per atom
**Raw total energy**: -16.65 eV per atom
**Calculated volume**: 62 Å³/f.u.